This record from Materials Project describes an optimized crystal structure of Ba11Bi9O30. The functional is PBE-GGA.

Results
Calculated volume (Å³/atom): 17.55
Crystal system: triclinic
Raw total energy (eV per atom): -5.94
ΔH_f (0 K) (eV/atom): -2.2631

Lattice parameters (Å, degrees): 8.8828 10.7817 10.9030 81.09 66.28 66.62
With the nearest neighbours (Å) after each atom.
Space group P-1 (No. 2)
Inequivalent atoms, fractional coordinates:
Ba 0.0000 0.0000 0.0000 (multiplicity 1)  6 O 2.50-2.53
Ba 0.0473 0.3057 0.1031 (multiplicity 2)  6 O 2.74-3.04
Ba 0.1488 0.8972 0.3054 (multiplicity 2)  3 O 2.70-2.82
Ba 0.2499 0.5011 0.5018 (multiplicity 2)  4 O 2.71-3.01
Ba 0.3508 0.0987 0.6998 (multiplicity 2)  3 O 2.69-2.72
Ba 0.4545 0.6984 0.9005 (multiplicity 2)  4 O 2.73-3.05
Bi 0.0992 0.5949 0.2049 (multiplicity 2)  6 O 2.08-2.20
Bi 0.2015 0.1987 0.4007 (multiplicity 2)  6 O 2.28-2.33
Bi 0.3078 0.7952 0.5944 (multiplicity 2)  6 O 2.09-2.21
Bi 0.3970 0.4010 0.8020 (multiplicity 2)  6 O 2.30-2.35
Bi 0.5000 0.0000 0.0000 (multiplicity 1)  6 O 2.07-2.23
O 0.0012 0.2068 0.8560 (multiplicity 2)  1 Bi 2.08
O 0.0071 0.3360 0.5880 (multiplicity 2)  2 Bi 2.19-2.33
O 0.0495 0.7872 0.6273 (multiplicity 2)  2 Bi 2.21-2.31
O 0.1454 0.4314 0.7647 (multiplicity 2)  2 Bi 2.19-2.32
O 0.1997 0.3850 0.2698 (multiplicity 2)  2 Bi 2.20-2.28
O 0.2076 0.5213 0.9986 (multiplicity 2)  2 Bi 2.19-2.31
O 0.2100 0.0038 0.5214 (multiplicity 2)  2 Bi 2.21-2.29
O 0.2162 0.8628 0.7898 (multiplicity 2)  1 Bi 2.09
O 0.2620 0.9771 0.0479 (multiplicity 2)  1 Bi 2.07
O 0.3567 0.6038 0.1678 (multiplicity 2)  2 Bi 2.20-2.32
O 0.3921 0.2078 0.9286 (multiplicity 2)  2 Bi 2.21-2.32
O 0.3996 0.0774 0.2070 (multiplicity 2)  2 Bi 2.23-2.30
O 0.4012 0.5883 0.6603 (multiplicity 2)  2 Bi 2.17-2.35
O 0.4111 0.7292 0.3876 (multiplicity 2)  2 Bi 2.18-2.30
O 0.4328 0.1940 0.4478 (multiplicity 2)  2 Bi 2.21-2.29